[1]
This record from the Materials Project describes TiCu2N3 after structural relaxation. The functional is PBE.

Properties
electronic total energy	-6.73	eV per atom
formation energy	-0.06	eV per atom
SG	P4/mmm
corrected total energy (MP2020 scheme)	-6.9065	eV/atom

Unit cell a=4.1102 b=4.1102 c=4.0421 alpha=90.00 beta=90.00 gamma=90.00
Atoms (fractional coordinates):
Cu: 0.0000 0.5000 0.0000
N: 0.5000 0.5000 0.0000
N: 0.5000 0.0000 0.5000
Ti: 0.5000 0.5000 0.5000
Cu: 0.5000 0.0000 0.0000
N: 0.0000 0.5000 0.5000

---

[2]
This record from the Materials Project describes Zn2CuN2 after structural relaxation. The functional is PBE.

Properties
electronic total energy	-4.38	eV per atom
formation energy	0.13	eV per atom
SG	C2/m
corrected total energy (MP2020 scheme)	-4.5279	eV/atom

Unit cell a=5.9154 b=5.9154 c=7.3356 alpha=61.10 beta=61.10 gamma=35.28
Atoms (fractional coordinates):
Zn: 0.0818 0.0818 0.2229
Cu: 0.3722 0.3722 0.0956
N: 0.2003 0.2003 0.3549
Zn: 0.6573 0.6573 0.4895
Zn: 0.9182 0.9182 0.7771
N: 0.5105 0.5105 0.2019
Cu: 0.6278 0.6278 0.9044
Zn: 0.3427 0.3427 0.5105
N: 0.7997 0.7997 0.6451
N: 0.4895 0.4895 0.7981

---

[3]
This record from the Materials Project describes ZnCu2N2 after structural relaxation. The functional is PBE.

Properties
electronic total energy	-4.58	eV per atom
formation energy	0.50	eV per atom
SG	P-4m2
corrected total energy (MP2020 scheme)	-4.7261	eV/atom

Unit cell a=3.5513 b=3.5513 c=5.3427 alpha=90.00 beta=90.00 gamma=90.00
Atoms (fractional coordinates):
Cu: 0.5000 0.5000 0.7217
Cu: 0.5000 0.5000 0.2783
N: 0.0000 0.5000 0.7913
N: 0.5000 0.0000 0.2087
Zn: 0.0000 0.0000 0.0000

---

[4]
This record from the Materials Project describes Zn5CuN4 after structural relaxation. The functional is PBE.

Properties
electronic total energy	-4.08	eV per atom
formation energy	0.15	eV per atom
SG	Pmmn
corrected total energy (MP2020 scheme)	-4.2230	eV/atom

Unit cell a=7.6087 b=6.3321 c=5.0759 alpha=90.00 beta=90.00 gamma=90.00
Atoms (fractional coordinates):
N: 0.9866 0.7500 0.5177
N: 0.4866 0.2500 0.4823
Zn: 0.4307 0.4951 0.7375
N: 0.0134 0.2500 0.4823
N: 0.7500 0.5003 0.9870
Zn: 0.9307 0.5049 0.2625
Cu: 0.2500 0.7500 0.2274
Zn: 0.5693 0.9951 0.2625
Zn: 0.2500 0.2500 0.2611
Zn: 0.7500 0.7500 0.7389
Zn: 0.0693 0.0049 0.7375
N: 0.2500 0.0003 0.0130
Zn: 0.5693 0.5049 0.2625
N: 0.7500 0.9997 0.9870
N: 0.5134 0.7500 0.5177
Zn: 0.0693 0.4951 0.7375
Zn: 0.9307 0.9951 0.2625
N: 0.2500 0.4997 0.0130
Cu: 0.7500 0.2500 0.7726
Zn: 0.4307 0.0049 0.7375

---

[5]
This record from the Materials Project describes Na3Cu after structural relaxation. The functional is PBE.

Properties
electronic total energy	-1.79	eV per atom
formation energy	0.22	eV per atom
SG	I4/mmm

Unit cell a=5.4965 b=5.4965 c=5.4965 alpha=127.51 beta=127.51 gamma=77.41
Atoms (fractional coordinates):
Cu: 0.0000 0.0000 0.0000
Na: 0.2500 0.7500 0.5000
Na: 0.7500 0.2500 0.5000
Na: 0.5000 0.5000 0.0000

---

[6]
This record from the Materials Project describes NaTi3NbCu3O12 after structural relaxation. The functional is PBE.

Properties
electronic total energy	-7.43	eV per atom
formation energy	-2.50	eV per atom
SG	R-3
corrected total energy (MP2020 scheme)	-7.8406	eV/atom

Unit cell a=6.5028 b=6.5028 c=6.5028 alpha=109.53 beta=109.53 gamma=109.53
Atoms (fractional coordinates):
O: 0.8243 0.5150 0.6949
O: 0.1798 0.8730 0.6936
Na: 0.0000 0.0000 0.0000
O: 0.8730 0.6936 0.1798
O: 0.4850 0.3051 0.1757
O: 0.3051 0.1757 0.4850
O: 0.3064 0.8202 0.1270
O: 0.8202 0.1270 0.3064
O: 0.1757 0.4850 0.3051
Cu: 0.5000 0.5000 0.0000
O: 0.6949 0.8243 0.5150
Ti: 0.0000 0.5000 0.0000
O: 0.6936 0.1798 0.8730
Ti: 0.0000 0.0000 0.5000
Nb: 0.5000 0.5000 0.5000
O: 0.1270 0.3064 0.8202
Cu: 0.5000 0.0000 0.5000
Cu: 0.0000 0.5000 0.5000
O: 0.5150 0.6949 0.8243
Ti: 0.5000 0.0000 0.0000

---

[7]
This record from the Materials Project describes NaCu3NiSe4 after structural relaxation. The functional is PBE.

Properties
electronic total energy	-3.96	eV per atom
formation energy	-0.46	eV per atom
SG	P-43m
corrected total energy (MP2020 scheme)	-4.1719	eV/atom

Unit cell a=5.8363 b=5.8363 c=5.8363 alpha=90.00 beta=90.00 gamma=90.00
Atoms (fractional coordinates):
Cu: 0.5000 0.0000 0.0000
Cu: 0.0000 0.5000 0.0000
Se: 0.2281 0.2281 0.2281
Se: 0.2281 0.7719 0.7719
Se: 0.7719 0.2281 0.7719
Cu: 0.0000 0.0000 0.5000
Na: 0.5000 0.5000 0.5000
Se: 0.7719 0.7719 0.2281
Ni: 0.0000 0.0000 0.0000

---

[8]
This record from the Materials Project describes NaCu3O2 after structural relaxation. The functional is PBE.

Properties
electronic total energy	-4.60	eV per atom
formation energy	-0.91	eV per atom
SG	Ibam
corrected total energy (MP2020 scheme)	-4.8308	eV/atom

Unit cell a=5.5521 b=6.2800 c=5.9576 alpha=61.68 beta=90.00 gamma=63.77
Atoms (fractional coordinates):
Cu: 0.0000 0.5000 0.5000
O: 0.1190 0.7621 0.3741
Cu: 0.0000 0.0000 0.0000
O: 0.3810 0.2379 0.1361
Cu: 0.5000 0.0000 0.0000
O: 0.6190 0.7621 0.8639
Cu: 0.5000 0.5000 0.0000
O: 0.8810 0.2379 0.6259
Cu: 0.5000 0.5000 0.5000
Cu: 0.0000 0.5000 0.0000
Na: 0.2500 0.0000 0.5000
Na: 0.7500 0.0000 0.5000